[1]
First-principles (GGA+U) data for Li5Mn3Sb2O10 after structural relaxation, as listed in the Materials Project database.

a b c (Å): 5.3744 8.3376 10.8446
angles (deg): 101.55 100.41 108.66
Closest atoms and distances in Å follow each position.
Fractional positions:
O (0.0865, 0.8421, 0.0251)  1 Sb 2.08, 1 Li 2.18, 2 Mn 2.22-2.29
O (0.3314, 0.5470, 0.0699)  2 Sb 2.09-2.11, 2 Li 2.16-2.17
O (0.6686, 0.4531, 0.4301)  2 Sb 2.09-2.11, 2 Li 2.16-2.17
O (0.6941, 0.9249, 0.1629)  1 Sb 2.09, 3 Mn 2.18-2.27, 1 Li 2.22
O (0.9042, 0.6543, 0.7143)  1 Sb 2.05, 4 Li 2.10-2.29, 1 Mn 2.22
O (0.3314, 0.5468, 0.5699)  2 Sb 2.09-2.11, 2 Li 2.16-2.17
O (0.5145, 0.7512, 0.3868)  3 Li 2.09-2.34, 1 Sb 2.10, 2 Mn 2.19-2.22
O (0.6687, 0.4531, 0.9301)  2 Sb 2.09-2.12, 2 Li 2.16-2.17
O (0.4855, 0.2486, 0.1135)  3 Li 2.09-2.33, 1 Sb 2.10, 2 Mn 2.19-2.22
O (0.0956, 0.3458, 0.7855)  1 Sb 2.05, 4 Li 2.10-2.29, 1 Mn 2.22
O (0.5145, 0.7513, 0.8866)  3 Li 2.09-2.33, 1 Sb 2.10, 2 Mn 2.19-2.22
O (0.9044, 0.6542, 0.2145)  1 Sb 2.05, 4 Li 2.10-2.29, 1 Mn 2.22
O (0.4854, 0.2488, 0.6132)  3 Li 2.09-2.34, 1 Sb 2.10, 2 Mn 2.19-2.22
O (0.6941, 0.9247, 0.6627)  1 Sb 2.09, 3 Mn 2.18-2.27, 1 Li 2.22
O (0.3059, 0.0751, 0.8370)  1 Sb 2.10, 3 Mn 2.18-2.27, 1 Li 2.22
O (0.0958, 0.3457, 0.2857)  1 Sb 2.05, 4 Li 2.10-2.29, 1 Mn 2.22
O (0.9133, 0.1579, 0.9749)  1 Sb 2.08, 1 Li 2.18, 2 Mn 2.22-2.29
O (0.9139, 0.1582, 0.4749)  1 Sb 2.07, 1 Li 2.19, 2 Mn 2.22-2.29
O (0.0862, 0.8419, 0.5251)  1 Sb 2.07, 1 Li 2.19, 2 Mn 2.22-2.29
O (0.3059, 0.0753, 0.3373)  1 Sb 2.09, 3 Mn 2.18-2.27, 1 Li 2.22
Mn (0.4999, 0.9999, 0.9999)  6 O 2.19-2.29
Mn (0.8951, 0.8928, 0.8450)  6 O 2.18-2.33
Mn (0.1049, 0.1072, 0.1550)  6 O 2.18-2.33
Mn (0.8950, 0.8927, 0.3450)  6 O 2.18-2.33
Mn (0.5001, 0.0000, 0.5000)  6 O 2.19-2.29
Mn (0.1052, 0.1074, 0.6550)  6 O 2.18-2.33
Li (0.7079, 0.2248, 0.3108)  5 O 2.10-2.33
Li (0.1147, 0.6007, 0.3795)  3 O 2.09-2.14
Li (0.5000, 0.4999, 0.2499)  6 O 2.16-2.29
Li (0.8853, 0.3993, 0.6205)  3 O 2.09-2.14
Li (0.1148, 0.6007, 0.8796)  3 O 2.09-2.15
Li (0.8852, 0.3992, 0.1204)  3 O 2.09-2.15
Li (0.5000, 0.5001, 0.7501)  6 O 2.16-2.29
Li (0.2919, 0.7751, 0.1890)  5 O 2.10-2.34
Li (0.7081, 0.2249, 0.8111)  5 O 2.10-2.34
Li (0.2921, 0.7752, 0.6892)  5 O 2.10-2.33
Sb (0.7138, 0.6967, 0.5491)  6 O 2.05-2.11
Sb (0.2861, 0.3033, 0.9509)  6 O 2.05-2.12
Sb (0.7139, 0.6967, 0.0493)  6 O 2.05-2.11
Sb (0.2861, 0.3033, 0.4508)  6 O 2.05-2.11

Calculated values
Total moment (μB/f.u.): 0.01
Energy relative to the lowest polymorph listed for this composition (meV/atom): 16
E_tot (eV/atom): -6.20

[2]
First-principles (GGA+U) data for Li4Mn3SbO8 after structural relaxation, as listed in the Materials Project database.

a b c (Å): 6.0991 6.0972 10.7772
angles (deg): 90.39 72.85 62.07
Closest atoms and distances in Å follow each position.
Fractional positions:
O (0.2346, 0.3885, 0.6136)  1 Sb 2.03, 2 Li 2.07-2.20, 2 Mn 2.20-2.22
O (0.7753, 0.0789, 0.3577)  2 Mn 1.93-2.15, 1 Li 2.05
O (0.7653, 0.8437, 0.6202)  1 Sb 2.05, 2 Mn 2.11-2.26, 2 Li 2.18-2.26
O (0.2210, 0.8869, 0.1209)  1 Sb 2.05, 2 Mn 2.10-2.25, 2 Li 2.17-2.27
O (0.2248, 0.4208, 0.1421)  2 Mn 1.93-2.15, 1 Li 2.05
O (0.7644, 0.8750, 0.1138)  1 Sb 2.04, 3 Li 2.16-2.26, 2 Mn 2.25
O (0.2805, 0.8666, 0.6420)  1 Mn 1.92, 1 Li 2.05
O (0.7655, 0.1116, 0.8864)  1 Sb 2.03, 2 Li 2.07-2.20, 2 Mn 2.20-2.22
O (0.2347, 0.6565, 0.8798)  1 Sb 2.05, 2 Mn 2.11-2.26, 2 Li 2.18-2.26
O (0.2254, 0.1510, 0.3868)  1 Sb 2.03, 2 Li 2.06-2.21, 2 Mn 2.20
O (0.7792, 0.6130, 0.3791)  1 Sb 2.05, 2 Mn 2.10-2.25, 2 Li 2.17-2.27
O (0.2385, 0.1213, 0.8865)  1 Sb 2.03, 3 Li 2.16-2.26, 2 Mn 2.24-2.26
O (0.7743, 0.3490, 0.1134)  1 Sb 2.03, 2 Li 2.07-2.20, 2 Mn 2.20
O (0.7197, 0.6334, 0.8579)  1 Mn 1.92, 1 Li 2.05
O (0.7614, 0.3789, 0.6136)  1 Sb 2.03, 3 Li 2.16-2.26, 2 Mn 2.24-2.26
O (0.2357, 0.6248, 0.3862)  1 Sb 2.04, 3 Li 2.17-2.26, 2 Mn 2.24-2.26
Li (0.9997, 0.2501, 0.2500)  6 O 2.17-2.21
Li (0.0163, 0.4872, 0.0150)  5 O 2.05-2.26
Li (0.4726, 0.5311, 0.5152)  5 O 2.05-2.27
Li (0.5003, 0.7497, 0.2500)  6 O 2.26-2.37
Li (0.9835, 0.0130, 0.4850)  5 O 2.05-2.26
Li (0.0000, 0.7501, 0.7500)  6 O 2.18-2.20
Li (0.5000, 0.2501, 0.7500)  6 O 2.26-2.37
Li (0.5273, 0.9691, 0.9848)  5 O 2.05-2.27
Mn (0.5016, 0.4984, 0.0011)  6 O 2.15-2.26
Mn (0.5001, 0.7500, 0.7501)  4 O 1.92-2.11
Mn (0.0004, 0.7499, 0.2500)  4 O 1.93-2.10
Mn (0.0002, 0.2498, 0.7499)  6 O 2.19-2.26
Mn (0.4994, 0.2498, 0.2499)  6 O 2.18-2.26
Mn (0.4986, 0.0015, 0.4988)  6 O 2.15-2.26
Sb (0.9987, 0.0009, 0.9999)  6 O 2.03-2.05
Sb (0.0012, 0.4993, 0.5001)  6 O 2.03-2.05

Calculated values
SG: P-1, No. 2
Total moment (μB/f.u.): 0.01
Energy relative to the lowest polymorph listed for this composition (meV/atom): 0
E_tot (eV/atom): -6.38

[3]
First-principles (GGA+U) data for Li4Mn3SbO8 after structural relaxation, as listed in the Materials Project database.

a b c (Å): 6.0795 6.2220 8.7718
angles (deg): 89.89 91.53 90.77
Closest atoms and distances in Å follow each position.
Fractional positions:
Li (0.7506, 0.7476, 0.7506)  4 O 2.14-2.21
Li (0.9882, 0.0003, 0.5048)  6 O 2.23-2.42
Li (0.2457, 0.2539, 0.2512)  4 O 2.13-2.20
Li (0.4898, 0.5006, 0.0045)  6 O 2.24-2.42
Li (0.7512, 0.2517, 0.7504)  6 O 2.15-2.20
Li (0.0013, 0.5000, 0.4989)  6 O 2.13-2.25
Li (0.5023, 0.0005, 0.9955)  6 O 2.12-2.29
Li (0.2518, 0.7522, 0.2506)  6 O 2.15-2.20
Mn (0.7524, 0.7496, 0.2494)  4 O 1.92-2.13
Mn (0.4957, 0.0002, 0.5013)  6 O 2.17-2.24
Mn (0.2511, 0.2503, 0.7492)  4 O 1.93-2.13
Mn (0.2511, 0.7498, 0.7487)  6 O 2.16-2.23
Mn (0.7504, 0.2493, 0.2487)  6 O 2.16-2.24
Mn (0.9961, 0.5003, 0.0014)  6 O 2.17-2.24
O (0.0332, 0.4724, 0.7547)  1 Mn 1.93
O (0.5351, 0.9713, 0.2556)  1 Mn 1.92
O (0.2343, 0.7709, 0.0000)  1 Sb 2.02, 2 Li 2.15-2.20, 2 Mn 2.21
O (0.7402, 0.7329, 0.5058)  1 Sb 2.03, 3 Li 2.15-2.23, 2 Mn 2.24-2.25
O (0.7338, 0.2707, 0.5005)  1 Sb 2.02, 2 Li 2.15-2.20, 2 Mn 2.21-2.22
O (0.2400, 0.2334, 0.0050)  1 Sb 2.04, 3 Li 2.16-2.24, 2 Mn 2.24-2.25
O (0.9702, 0.5257, 0.2470)  2 Mn 1.93-2.16
O (0.7617, 0.7682, 0.9940)  1 Sb 2.04, 2 Li 2.14-2.15, 2 Mn 2.21-2.25
O (0.5016, 0.5078, 0.2651)  1 Sb 2.05, 2 Mn 2.13-2.23, 3 Li 2.16-2.29
O (0.0018, 0.9919, 0.2330)  1 Sb 2.05, 2 Mn 2.13-2.24, 2 Li 2.15-2.19
O (0.2613, 0.2687, 0.4941)  1 Sb 2.04, 2 Li 2.13-2.15, 2 Mn 2.21-2.24
O (0.0010, 0.0078, 0.7649)  1 Sb 2.06, 2 Mn 2.13-2.23, 3 Li 2.16-2.28
O (0.4688, 0.0273, 0.7471)  2 Mn 1.93-2.16
O (0.2671, 0.7264, 0.4981)  1 Sb 2.02, 2 Li 2.13-2.18, 2 Mn 2.18-2.21
O (0.7672, 0.2262, 0.9981)  1 Sb 2.02, 2 Li 2.12-2.18, 2 Mn 2.19-2.21
O (0.5011, 0.4922, 0.7332)  1 Sb 2.05, 2 Mn 2.13-2.23, 2 Li 2.15-2.18
Sb (0.0021, 0.9998, 0.9993)  6 O 2.02-2.06
Sb (0.5018, 0.5001, 0.4993)  6 O 2.02-2.05

Calculated values
SG: P1, No. 1
Total moment (μB/f.u.): 0.00
Energy relative to the lowest polymorph listed for this composition (meV/atom): 8
E_tot (eV/atom): -6.37

[4]
First-principles (GGA+U) data for Li3Mn2SbO6 after structural relaxation, as listed in the Materials Project database.

a b c (Å): 6.8242 6.8242 6.3542
angles (deg): 78.23 78.23 26.59
Closest atoms and distances in Å follow each position.
Fractional positions:
O (0.3495, 0.3495, 0.0809)  1 Sb 1.96
O (0.6603, 0.6603, 0.4210)  3 Li 2.08-2.11, 3 Mn 2.15-2.18
O (0.6505, 0.6505, 0.9191)  1 Sb 1.96
O (0.0039, 0.0039, 0.2146)  2 Sb 2.09, 1 Li 2.11
O (0.9961, 0.9961, 0.7854)  2 Sb 2.09, 1 Li 2.11
O (0.3397, 0.3397, 0.5790)  3 Li 2.08-2.11, 3 Mn 2.15-2.18
Sb (0.5000, 0.5000, 0.0000)  6 O 1.96-2.09
Li (0.8354, 0.8354, 0.8019)  3 O 2.11
Li (0.5000, 0.5000, 0.5000)  2 O 2.08
Li (0.1646, 0.1646, 0.1981)  3 O 2.11
Mn (0.8261, 0.8261, 0.3488)  6 O 2.15-2.34
Mn (0.1739, 0.1739, 0.6512)  6 O 2.15-2.34

Calculated values
SG: C2/m, No. 12
Total moment (μB/f.u.): 10.00
E_tot (eV/atom): -6.24

[5]
First-principles (GGA+U) data for Li4Mn5Sb3O16 after structural relaxation, as listed in the Materials Project database.

a b c (Å): 6.1906 6.1906 9.9304
angles (deg): 89.67 89.67 59.33
Closest atoms and distances in Å follow each position.
Fractional positions:
Li (0.9975, 0.9975, 0.4933)  4 O 1.83-1.95
Li (0.3243, 0.3243, 0.6014)  4 O 1.98-2.13
Li (0.6623, 0.6623, 0.1269)  4 O 2.02-2.23
Li (0.9901, 0.9901, 0.0078)  1 O 1.75
O (0.1536, 0.1536, 0.8969)  2 Sb 2.06, 1 Li 2.07
O (0.1613, 0.6914, 0.8921)  1 Li 1.97, 1 Sb 2.00, 1 Mn 2.07
O (0.0327, 0.4831, 0.1674)  1 Li 2.02, 1 Sb 2.02, 2 Mn 2.09-2.25
O (0.6914, 0.1613, 0.8921)  1 Li 1.97, 1 Sb 2.00, 1 Mn 2.07
O (0.4831, 0.0327, 0.1674)  1 Li 2.02, 1 Sb 2.02, 2 Mn 2.09-2.25
O (0.4795, 0.4795, 0.1798)  2 Mn 1.96, 1 Li 2.03
O (0.3151, 0.8501, 0.3955)  1 Li 1.95, 1 Sb 2.04, 2 Mn 2.10-2.14
O (0.5103, 0.9631, 0.6722)  1 Sb 1.98, 1 Li 2.05, 1 Mn 2.05
O (0.0116, 0.0116, 0.1827)  1 Li 1.75
O (0.8501, 0.3151, 0.3955)  1 Li 1.95, 1 Sb 2.04, 2 Mn 2.10-2.14
O (0.8495, 0.8495, 0.3875)  1 Li 1.91, 3 Mn 1.99-2.11
O (0.3229, 0.3229, 0.4019)  1 Li 1.98, 1 Sb 2.01, 2 Mn 2.15
O (0.6523, 0.6523, 0.9025)  2 Sb 2.05, 1 Li 2.23, 1 Mn 2.26
O (0.0116, 0.0116, 0.6771)  1 Li 1.83, 2 Sb 2.04
O (0.9631, 0.5103, 0.6722)  1 Sb 1.98, 1 Li 2.05, 1 Mn 2.05
O (0.5113, 0.5113, 0.6701)  2 Sb 2.05, 1 Li 2.13
Sb (0.3375, 0.8306, 0.7841)  6 O 1.98-2.06
Sb (0.1712, 0.1712, 0.2839)  6 O 2.00-2.04
Sb (0.8306, 0.3375, 0.7841)  6 O 1.98-2.06
Mn (0.6765, 0.6765, 0.4888)  3 O 2.11-2.14
Mn (0.8318, 0.8318, 0.7834)  6 O 2.05-2.26
Mn (0.6639, 0.1698, 0.2856)  6 O 1.96-2.15
Mn (0.1698, 0.6639, 0.2856)  6 O 1.96-2.15
Mn (0.3443, 0.3443, 0.0143)  6 O 2.20-2.37

Calculated values
SG: Cm, No. 8
Total moment (μB/f.u.): 22.00
E_tot (eV/atom): -6.56

[6]
First-principles (GGA+U) data for Li4Mn3SbO8 after structural relaxation, as listed in the Materials Project database.

a b c (Å): 6.2448 10.5220 6.2445
angles (deg): 72.82 60.03 72.83
Closest atoms and distances in Å follow each position.
Fractional positions:
Li (0.7500, 0.7500, 0.2500)  6 O 2.16-2.32
Li (0.7500, 0.2500, 0.7500)  6 O 2.17-2.31
Li (0.2500, 0.2500, 0.7500)  6 O 2.16-2.32
Li (0.7500, 0.2500, 0.2500)  6 O 2.16-2.33
Li (0.7500, 0.7500, 0.7500)  6 O 2.33-2.34
Li (0.2500, 0.7500, 0.2500)  6 O 2.17-2.31
Li (0.2500, 0.7500, 0.7500)  6 O 2.16-2.33
Li (0.2500, 0.2500, 0.2500)  6 O 2.33-2.34
O (0.8677, 0.3974, 0.8660)  3 Mn 2.06-2.07
O (0.3861, 0.3809, 0.8470)  1 Sb 2.04, 2 Li 2.16-2.17, 2 Mn 2.21-2.22
O (0.8861, 0.8804, 0.8865)  1 Sb 2.04, 2 Li 2.16-2.17, 2 Mn 2.22
O (0.1322, 0.6026, 0.1341)  3 Mn 2.06-2.07
O (0.1139, 0.1190, 0.6530)  1 Sb 2.04, 2 Li 2.16-2.17, 2 Mn 2.21-2.22
O (0.8861, 0.8810, 0.3470)  1 Sb 2.04, 2 Li 2.16-2.17, 2 Mn 2.21-2.22
O (0.1529, 0.6191, 0.6138)  1 Sb 2.04, 2 Li 2.17, 2 Mn 2.21-2.22
O (0.6138, 0.6196, 0.6135)  1 Sb 2.04, 2 Li 2.16, 2 Mn 2.22
O (0.6139, 0.6191, 0.1530)  1 Sb 2.04, 2 Li 2.16-2.17, 2 Mn 2.21-2.22
O (0.6528, 0.1191, 0.1138)  1 Sb 2.04, 2 Li 2.17, 2 Mn 2.21-2.22
O (0.3677, 0.8975, 0.3657)  3 Mn 2.06-2.07
O (0.3862, 0.3804, 0.3865)  1 Sb 2.04, 2 Li 2.16, 2 Mn 2.22
O (0.6322, 0.1025, 0.6343)  3 Mn 2.06-2.07
O (0.1139, 0.1196, 0.1135)  1 Sb 2.04, 2 Li 2.16-2.17, 2 Mn 2.22
O (0.3472, 0.8809, 0.8862)  1 Sb 2.04, 2 Li 2.17, 2 Mn 2.21-2.22
O (0.8472, 0.3809, 0.3862)  1 Sb 2.04, 2 Li 2.17, 2 Mn 2.21-2.22
Mn (0.0000, 0.0000, 0.5000)  6 O 2.07-2.22
Mn (0.0000, 0.5000, 0.5000)  6 O 2.06-2.22
Mn (0.5000, 0.5000, 0.0000)  6 O 2.07-2.22
Mn (0.5000, 0.0000, 0.0000)  6 O 2.06-2.22
Mn (0.5000, 0.0000, 0.5000)  6 O 2.07-2.22
Mn (0.0000, 0.5000, 0.0000)  6 O 2.07-2.22
Sb (0.0000, 0.0000, 0.0000)  6 O 2.04
Sb (0.5000, 0.5000, 0.5000)  6 O 2.04

Calculated values
Total moment (μB/f.u.): 0.00
Energy relative to the lowest polymorph listed for this composition (meV/atom): 16
E_tot (eV/atom): -6.36